The following is a DFT calculation (PBE) of a relaxed structure of Tb6Ti4Al43.

The structure belongs to space group P6_3/mcm (No. 193); the cell edges are 11.0975, 11.0975 and 17.8313 Å and the angles 90.00°, 90.00° and 120.00°. The inequivalent atoms are Tb at (0.0000, 0.4694, 0.0964), Ti at (0.0000, 0.0000, 0.0000), Ti at (0.0000, 0.2726, 0.2500), Al at (0.0000, 0.1464, 0.7500), Al at (0.0000, 0.1569, 0.1159), Al at (0.0000, 0.2536, 0.5291), Al at (0.1499, 0.5524, 0.2500), Al at (0.1580, 0.3930, 0.6648), Al at (0.2473, 0.4946, 0.0000) and Al at (0.3333, 0.6667, 0.1261).

The calculation puts the formation energy at -7.915 kcal/mol of atoms.